No. 1
This record from Materials Project describes an optimized crystal structure of Li8Fe7SnP12O48. The functional is PBE+U.

Lattice parameters (Å, degrees): 8.680 8.817 12.261 89.96 89.97 89.97
Positions (direct):
Li 0.000 0.000 0.000
Li 0.000 0.055 0.363
Li 0.433 0.552 0.358
Li 0.434 0.500 0.001
Li 0.500 0.000 0.864
Li 0.500 0.062 0.500
Li 0.934 0.500 0.864
Li 0.936 0.555 0.500
Fe 0.466 0.318 0.795
Fe 0.468 0.236 0.294
Fe 0.468 0.819 0.069
Fe 0.966 0.319 0.069
Fe 0.966 0.737 0.295
Fe 0.968 0.236 0.569
Fe 0.968 0.818 0.794
Sn 0.466 0.738 0.568
P 0.111 0.385 0.329
P 0.111 0.670 0.035
P 0.175 0.526 0.683
P 0.256 0.030 0.684
P 0.322 0.885 0.328
P 0.323 0.170 0.035
P 0.613 0.382 0.535
P 0.614 0.670 0.832
P 0.678 0.528 0.181
P 0.757 0.027 0.182
P 0.823 0.170 0.829
P 0.826 0.884 0.535
O 0.043 0.264 0.408
O 0.044 0.792 0.956
O 0.054 0.510 0.002
O 0.055 0.545 0.362
O 0.061 0.344 0.213
O 0.061 0.711 0.151
O 0.067 0.439 0.604
O 0.068 0.614 0.762
O 0.144 0.174 0.026
O 0.144 0.882 0.338
O 0.160 0.136 0.613
O 0.162 0.919 0.752
O 0.266 0.635 0.610
O 0.274 0.421 0.752
O 0.290 0.381 0.337
O 0.290 0.673 0.027
O 0.365 0.116 0.762
O 0.365 0.945 0.601
O 0.373 0.211 0.151
O 0.374 0.844 0.212
O 0.380 0.010 0.002
O 0.381 0.044 0.362
O 0.391 0.291 0.956
O 0.392 0.761 0.405
O 0.543 0.791 0.909
O 0.544 0.264 0.455
O 0.555 0.510 0.863
O 0.555 0.543 0.498
O 0.560 0.347 0.651
O 0.566 0.712 0.715
O 0.569 0.615 0.103
O 0.570 0.439 0.260
O 0.644 0.173 0.838
O 0.645 0.886 0.525
O 0.660 0.135 0.253
O 0.661 0.921 0.111
O 0.774 0.420 0.111
O 0.774 0.635 0.252
O 0.790 0.382 0.526
O 0.791 0.673 0.841
O 0.865 0.115 0.103
O 0.865 0.940 0.261
O 0.872 0.212 0.713
O 0.872 0.843 0.652
O 0.880 0.010 0.862
O 0.880 0.044 0.502
O 0.891 0.291 0.908
O 0.891 0.763 0.456

=====

No. 2
This record from Materials Project describes an optimized crystal structure of Li8Fe3SnP6O24. The functional is PBE+U.

Lattice parameters (Å, degrees): 8.851 8.851 8.851 61.67 61.67 61.67
Positions (direct):
Li 0.000 0.000 0.000
Li 0.169 0.762 0.323
Li 0.245 0.668 0.834
Li 0.323 0.169 0.762
Li 0.494 0.494 0.494
Li 0.668 0.834 0.245
Li 0.762 0.323 0.169
Li 0.834 0.245 0.668
Fe 0.171 0.171 0.171
Fe 0.370 0.370 0.370
Fe 0.871 0.871 0.871
Sn 0.670 0.670 0.670
P 0.074 0.475 0.775
P 0.275 0.978 0.576
P 0.475 0.775 0.074
P 0.576 0.275 0.978
P 0.775 0.074 0.475
P 0.978 0.576 0.275
O 0.016 0.413 0.230
O 0.051 0.629 0.826
O 0.084 0.291 0.931
O 0.122 0.945 0.761
O 0.126 0.559 0.332
O 0.230 0.016 0.413
O 0.257 0.447 0.618
O 0.291 0.931 0.084
O 0.332 0.126 0.559
O 0.413 0.230 0.016
O 0.434 0.784 0.598
O 0.447 0.618 0.257
O 0.520 0.720 0.910
O 0.559 0.332 0.126
O 0.598 0.434 0.784
O 0.618 0.257 0.447
O 0.629 0.826 0.051
O 0.720 0.910 0.520
O 0.761 0.122 0.945
O 0.784 0.598 0.434
O 0.826 0.051 0.629
O 0.910 0.520 0.720
O 0.931 0.084 0.291
O 0.945 0.761 0.122

=====

No. 3
This record from Materials Project describes an optimized crystal structure of Li8Fe7TeP12O48. The functional is PBE+U.

Lattice parameters (Å, degrees): 8.653 8.783 12.199 90.35 90.02 90.07
Positions (direct):
Li 0.000 0.000 0.000
Li 0.001 0.050 0.649
Li 0.432 0.501 0.001
Li 0.434 0.557 0.642
Li 0.494 0.055 0.504
Li 0.496 0.000 0.138
Li 0.930 0.503 0.136
Li 0.933 0.569 0.505
Fe 0.461 0.739 0.434
Fe 0.463 0.320 0.204
Fe 0.466 0.819 0.933
Fe 0.467 0.235 0.712
Fe 0.961 0.740 0.713
Fe 0.963 0.318 0.932
Fe 0.964 0.814 0.204
Te 0.967 0.239 0.434
P 0.109 0.670 0.968
P 0.112 0.390 0.673
P 0.177 0.529 0.317
P 0.257 0.024 0.318
P 0.319 0.172 0.968
P 0.321 0.884 0.673
P 0.604 0.380 0.466
P 0.608 0.672 0.175
P 0.675 0.528 0.821
P 0.754 0.028 0.822
P 0.817 0.882 0.464
P 0.819 0.170 0.169
O 0.037 0.259 0.589
O 0.040 0.791 0.047
O 0.049 0.545 0.637
O 0.051 0.510 0.000
O 0.055 0.337 0.783
O 0.059 0.710 0.852
O 0.062 0.611 0.244
O 0.063 0.438 0.405
O 0.140 0.175 0.977
O 0.142 0.881 0.665
O 0.152 0.921 0.252
O 0.160 0.140 0.397
O 0.267 0.631 0.394
O 0.268 0.414 0.252
O 0.287 0.382 0.659
O 0.288 0.673 0.977
O 0.358 0.942 0.402
O 0.360 0.118 0.242
O 0.369 0.212 0.851
O 0.371 0.844 0.790
O 0.377 0.011 0.001
O 0.377 0.045 0.640
O 0.389 0.293 0.047
O 0.390 0.763 0.593
O 0.540 0.792 0.096
O 0.543 0.260 0.545
O 0.550 0.511 0.141
O 0.557 0.712 0.292
O 0.561 0.543 0.501
O 0.563 0.343 0.348
O 0.565 0.440 0.742
O 0.566 0.615 0.900
O 0.642 0.172 0.168
O 0.642 0.889 0.477
O 0.658 0.920 0.891
O 0.660 0.136 0.750
O 0.771 0.635 0.750
O 0.772 0.420 0.891
O 0.787 0.673 0.166
O 0.794 0.380 0.477
O 0.863 0.116 0.901
O 0.863 0.941 0.742
O 0.868 0.213 0.294
O 0.871 0.852 0.349
O 0.879 0.053 0.502
O 0.880 0.012 0.141
O 0.891 0.294 0.099
O 0.891 0.772 0.546

=====

Number 1: energy relative to the elements -2433 meV/atom, E -6.81 eV per atom. Number 2: energy relative to the elements -2454 meV/atom, E -6.57 eV per atom. Number 3: energy relative to the elements -2414 meV/atom, E -6.77 eV per atom.